Record 1
Material: TaSiIr
Method: DFT, PBE-GGA
State: relaxed

Properties
DFT total energy = -114.33 eV/cell
formation enthalpy at 0 K = -820 meV/atom

Unit cell a=6.431 b=3.814 c=7.328 alpha=90.00 beta=90.00 gamma=90.00
Positions (direct):
Ta: 0.024 0.250 0.172
Ta: 0.476 0.750 0.672
Ta: 0.524 0.250 0.328
Ta: 0.976 0.750 0.828
Si: 0.233 0.750 0.376
Si: 0.267 0.250 0.876
Si: 0.733 0.750 0.124
Si: 0.767 0.250 0.624
Ir: 0.145 0.250 0.565
Ir: 0.355 0.750 0.065
Ir: 0.645 0.250 0.935
Ir: 0.855 0.750 0.435

***

Record 2
Material: KCeMg14O16
Method: DFT, PBE-GGA
State: relaxed

Properties
polymorph energy (0 for the lowest one) = 15 meV per atom
total moment = 0.024 μB/atom
DFT total energy = -188.35 eV/cell
formation enthalpy at 0 K = -2835 meV/atom

Unit cell a=4.483 b=8.772 c=8.923 alpha=90.00 beta=90.00 gamma=90.00
Positions (direct):
K: 0.000 0.000 0.000
Ce: 0.000 0.000 0.500
Mg: 0.000 0.262 0.239
Mg: 0.000 0.262 0.761
Mg: 0.000 0.500 0.000
Mg: 0.000 0.500 0.500
Mg: 0.000 0.738 0.239
Mg: 0.000 0.738 0.761
Mg: 0.500 0.000 0.231
Mg: 0.500 0.000 0.769
Mg: 0.500 0.255 0.000
Mg: 0.500 0.266 0.500
Mg: 0.500 0.500 0.246
Mg: 0.500 0.500 0.754
Mg: 0.500 0.734 0.500
Mg: 0.500 0.745 0.000
O: 0.000 0.000 0.258
O: 0.000 0.000 0.742
O: 0.000 0.268 0.500
O: 0.000 0.277 0.000
O: 0.000 0.500 0.253
O: 0.000 0.500 0.747
O: 0.000 0.723 0.000
O: 0.000 0.732 0.500
O: 0.500 0.000 0.000
O: 0.500 0.000 0.500
O: 0.500 0.250 0.251
O: 0.500 0.250 0.749
O: 0.500 0.500 0.000
O: 0.500 0.500 0.500
O: 0.500 0.750 0.251
O: 0.500 0.750 0.749

***

Record 3
Material: Cs2Ni3Se4
Method: DFT, PBE-GGA
State: relaxed

Properties
DFT total energy = -38.97 eV/cell
formation enthalpy at 0 K = -860 meV/atom

Unit cell a=9.221 b=8.148 c=6.178 alpha=78.81 beta=60.09 gamma=41.09
Positions (direct):
Cs: 0.156 0.156 0.844
Cs: 0.844 0.844 0.156
Ni: 0.000 0.000 0.500
Ni: 0.500 0.500 0.000
Ni: 0.500 0.500 0.500
Se: 0.232 0.567 0.433
Se: 0.433 0.768 0.232
Se: 0.567 0.232 0.768
Se: 0.768 0.433 0.567

***

Record 4
Material: MgHg2Sb4O12
Method: DFT, PBE-GGA
State: relaxed

Properties
polymorph energy (0 for the lowest one) = 0 meV per atom
total moment = 0.000 μB/atom
DFT total energy = -99.38 eV/cell
formation enthalpy at 0 K = -1554 meV/atom

Unit cell a=5.127 b=9.846 c=5.227 alpha=90.00 beta=90.37 gamma=90.00
Positions (direct):
Mg: 0.000 0.000 0.000
Hg: 0.000 0.422 0.500
Hg: 0.500 0.899 0.000
Sb: 0.000 0.101 0.500
Sb: 0.000 0.741 0.500
Sb: 0.500 0.255 0.000
Sb: 0.500 0.583 0.000
O: 0.151 0.922 0.688
O: 0.216 0.604 0.712
O: 0.219 0.231 0.716
O: 0.274 0.101 0.195
O: 0.282 0.729 0.210
O: 0.325 0.418 0.171
O: 0.675 0.418 0.829
O: 0.718 0.729 0.790
O: 0.726 0.101 0.805
O: 0.781 0.231 0.284
O: 0.784 0.604 0.288
O: 0.849 0.922 0.312

***

Record 5
Material: Ce3Cu4P4O2
Method: DFT, PBE-GGA
State: relaxed

Properties
total moment = 0.038 μB/atom
DFT total energy = -84.24 eV/cell
formation enthalpy at 0 K = -1528 meV/atom

Unit cell a=13.698 b=13.698 c=13.698 alpha=163.67 beta=163.67 gamma=23.17
Positions (direct):
Ce: 0.000 0.000 0.000
Ce: 0.298 0.298 0.000
Ce: 0.702 0.702 0.000
Cu: 0.098 0.598 0.500
Cu: 0.402 0.902 0.500
Cu: 0.598 0.098 0.500
Cu: 0.902 0.402 0.500
P: 0.147 0.147 0.000
P: 0.455 0.455 0.000
P: 0.545 0.545 0.000
P: 0.853 0.853 0.000
O: 0.250 0.750 0.500
O: 0.750 0.250 0.500

***

Record 6
Material: ZnSn2P2O8
Method: DFT, PBE-GGA
State: relaxed

Properties
polymorph energy (0 for the lowest one) = 8 meV per atom
total moment = 0.000 μB/atom
DFT total energy = -333.43 eV/cell
formation enthalpy at 0 K = -2243 meV/atom

Unit cell a=5.233 b=9.627 c=16.516 alpha=87.08 beta=80.88 gamma=74.23
Positions (direct):
Zn: 0.070 0.149 0.160
Zn: 0.379 0.351 0.340
Zn: 0.621 0.649 0.660
Zn: 0.930 0.851 0.840
Sn: 0.000 0.500 0.000
Sn: 0.186 0.701 0.489
Sn: 0.340 0.756 0.251
Sn: 0.376 0.799 0.011
Sn: 0.500 0.000 0.500
Sn: 0.624 0.201 0.989
Sn: 0.660 0.244 0.749
Sn: 0.814 0.299 0.511
P: 0.086 0.088 0.361
P: 0.240 0.446 0.623
P: 0.310 0.054 0.877
P: 0.465 0.588 0.861
P: 0.535 0.412 0.139
P: 0.690 0.946 0.123
P: 0.760 0.554 0.377
P: 0.914 0.912 0.639
O: 0.001 0.857 0.721
O: 0.045 0.009 0.879
O: 0.067 0.509 0.379
O: 0.163 0.676 0.890
O: 0.165 0.889 0.569
O: 0.248 0.922 0.369
O: 0.264 0.165 0.947
O: 0.271 0.176 0.390
O: 0.303 0.386 0.708
O: 0.358 0.579 0.604
O: 0.376 0.335 0.553
O: 0.377 0.389 0.069
O: 0.397 0.114 0.792
O: 0.421 0.357 0.221
O: 0.459 0.079 0.104
O: 0.461 0.422 0.869
O: 0.539 0.578 0.131
O: 0.541 0.921 0.896
O: 0.579 0.643 0.779
O: 0.603 0.886 0.208
O: 0.623 0.611 0.931
O: 0.624 0.665 0.447
O: 0.642 0.421 0.396
O: 0.697 0.614 0.292
O: 0.729 0.824 0.610
O: 0.736 0.835 0.053
O: 0.752 0.078 0.631
O: 0.835 0.111 0.431
O: 0.837 0.324 0.110
O: 0.933 0.491 0.621
O: 0.955 0.991 0.121
O: 0.999 0.143 0.279

***

Record 7
Material: SiC
Method: DFT, PBE-GGA
State: relaxed

Properties
polymorph energy (0 for the lowest one) = 32 meV per atom
DFT total energy = -284.96 eV/cell
formation enthalpy at 0 K = -172 meV/atom

Unit cell a=48.121 b=48.121 c=48.121 alpha=3.69 beta=3.69 gamma=3.69
Positions (direct):
Si: 0.000 0.000 0.000
Si: 0.035 0.035 0.035
Si: 0.105 0.105 0.105
Si: 0.140 0.140 0.140
Si: 0.211 0.211 0.211
Si: 0.246 0.246 0.246
Si: 0.316 0.316 0.316
Si: 0.386 0.386 0.386
Si: 0.421 0.421 0.421
Si: 0.491 0.491 0.491
Si: 0.526 0.526 0.526
Si: 0.596 0.596 0.596
Si: 0.632 0.632 0.632
Si: 0.684 0.684 0.684
Si: 0.737 0.737 0.737
Si: 0.789 0.789 0.789
Si: 0.842 0.842 0.842
Si: 0.895 0.895 0.895
Si: 0.947 0.947 0.947
C: 0.022 0.022 0.022
C: 0.092 0.092 0.092
C: 0.127 0.127 0.127
C: 0.197 0.197 0.197
C: 0.232 0.232 0.232
C: 0.303 0.303 0.303
C: 0.373 0.373 0.373
C: 0.408 0.408 0.408
C: 0.478 0.478 0.478
C: 0.513 0.513 0.513
C: 0.583 0.583 0.583
C: 0.618 0.618 0.618
C: 0.671 0.671 0.671
C: 0.724 0.724 0.724
C: 0.776 0.776 0.776
C: 0.829 0.829 0.829
C: 0.882 0.882 0.882
C: 0.934 0.934 0.934
C: 0.987 0.987 0.987

***

Record 8
Material: Ca13Nb3Si8O36
Method: DFT, PBE-GGA
State: relaxed

Properties
total moment = 0.017 μB/atom
DFT total energy = -456.69 eV/cell
formation enthalpy at 0 K = -3392 meV/atom

Unit cell a=7.382 b=10.536 c=10.993 alpha=89.95 beta=70.62 gamma=89.82
Positions (direct):
Ca: 0.000 0.000 0.000
Ca: 0.001 0.310 0.495
Ca: 0.135 0.522 0.735
Ca: 0.293 0.019 0.397
Ca: 0.313 0.280 0.879
Ca: 0.429 0.805 0.633
Ca: 0.443 0.501 0.127
Ca: 0.495 0.320 0.510
Ca: 0.500 0.002 0.006
Ca: 0.617 0.528 0.755
Ca: 0.645 0.782 0.237
Ca: 0.930 0.488 0.143
Ca: 0.931 0.806 0.634
Nb: 0.127 0.788 0.248
Nb: 0.811 0.016 0.382
Nb: 0.818 0.292 0.875
Si: 0.195 0.094 0.678
Si: 0.196 0.212 0.185
Si: 0.306 0.727 0.945
Si: 0.311 0.593 0.438
Si: 0.624 0.221 0.192
Si: 0.625 0.073 0.696
Si: 0.740 0.711 0.955
Si: 0.745 0.593 0.446
O: 0.007 0.901 0.416
O: 0.038 0.143 0.814
O: 0.039 0.154 0.318
O: 0.164 0.665 0.083
O: 0.175 0.947 0.641
O: 0.178 0.363 0.167
O: 0.206 0.680 0.563
O: 0.215 0.134 0.053
O: 0.222 0.180 0.549
O: 0.259 0.445 0.469
O: 0.280 0.880 0.951
O: 0.291 0.643 0.301
O: 0.306 0.665 0.811
O: 0.357 0.885 0.214
O: 0.397 0.175 0.218
O: 0.398 0.112 0.713
O: 0.405 0.403 0.707
O: 0.519 0.677 0.951
O: 0.547 0.618 0.406
O: 0.578 0.381 0.938
O: 0.581 0.919 0.427
O: 0.640 0.373 0.204
O: 0.647 0.146 0.822
O: 0.649 0.922 0.701
O: 0.662 0.149 0.314
O: 0.715 0.668 0.580
O: 0.737 0.627 0.081
O: 0.745 0.159 0.051
O: 0.753 0.861 0.993
O: 0.755 0.130 0.552
O: 0.780 0.442 0.454
O: 0.875 0.666 0.813
O: 0.890 0.373 0.713
O: 0.899 0.659 0.317
O: 0.919 0.914 0.216
O: 0.994 0.385 0.935